[1]
Entry from the Materials Project: crystalline Sb11S18 at its relaxed geometry (PBE).

a b c (Å): 6.8618 7.7327 15.4259
angles (deg): 75.77 81.20 73.49
Fractional coordinates of all 29 atoms:
Sb (0.0000, 0.0000, 0.0000)
Sb (0.0021, 0.4979, 0.0015)
Sb (0.2008, 0.2159, 0.4655)
Sb (0.2112, 0.7091, 0.4723)
Sb (0.2403, 0.3384, 0.6882)
Sb (0.2425, 0.8587, 0.6892)
Sb (0.4323, 0.5736, 0.1470)
Sb (0.4390, 0.0686, 0.1437)
Sb (0.6056, 0.4077, 0.8805)
Sb (0.8644, 0.1491, 0.2758)
Sb (0.8698, 0.6485, 0.2724)
S (0.0034, 0.1933, 0.6175)
S (0.1595, 0.3652, 0.2072)
S (0.1627, 0.8575, 0.2056)
S (0.2511, 0.7044, 0.9558)
S (0.2659, 0.2005, 0.9670)
S (0.4351, 0.3738, 0.5389)
S (0.4352, 0.8692, 0.5397)
S (0.4721, 0.0186, 0.7357)
S (0.5167, 0.5103, 0.7212)
S (0.5842, 0.4584, 0.3010)
S (0.5885, 0.9586, 0.3026)
S (0.6951, 0.7906, 0.0844)
S (0.7022, 0.2798, 0.0819)
S (0.8576, 0.6001, 0.8534)
S (0.8590, 0.1150, 0.8520)
S (0.9154, 0.0562, 0.4378)
S (0.9177, 0.5488, 0.4357)
S (0.9973, 0.6931, 0.6163)

**Space group**: P1
**Magnetization**: 0.00 μB per cell
**Mass density**: 4.20 g/cm3
**Calculated total energy**: -124.24 eV/cell

=====

[2]
Entry from the Materials Project: crystalline Na2TlP3H7N3O8 at its relaxed geometry (PBE).

a b c (Å): 8.1239 8.1584 8.8087
angles (deg): 76.67 81.91 76.51
Fractional coordinates of all 48 atoms:
Na (0.0735, 0.4990, 0.1692)
Na (0.1472, 0.6526, 0.4952)
Na (0.8528, 0.3474, 0.5048)
Na (0.9265, 0.5010, 0.8308)
Tl (0.3743, 0.7853, 0.0747)
Tl (0.6257, 0.2147, 0.9253)
P (0.2136, 0.0868, 0.3709)
P (0.2489, 0.2190, 0.6492)
P (0.4450, 0.3333, 0.3474)
P (0.5550, 0.6667, 0.6526)
P (0.7511, 0.7810, 0.3508)
P (0.7864, 0.9132, 0.6291)
H (0.0281, 0.8179, 0.8801)
H (0.0662, 0.1406, 0.9605)
H (0.2502, 0.3476, 0.8947)
H (0.2552, 0.9386, 0.6257)
H (0.2696, 0.5417, 0.8451)
H (0.4642, 0.7820, 0.4103)
H (0.4888, 0.0784, 0.2641)
H (0.5112, 0.9216, 0.7359)
H (0.5358, 0.2180, 0.5897)
H (0.7304, 0.4583, 0.1549)
H (0.7448, 0.0614, 0.3743)
H (0.7498, 0.6524, 0.1053)
H (0.9338, 0.8594, 0.0395)
H (0.9719, 0.1821, 0.1199)
N (0.2144, 0.0634, 0.5671)
N (0.3862, 0.1721, 0.2872)
N (0.4224, 0.2850, 0.5454)
N (0.5776, 0.7150, 0.4546)
N (0.6138, 0.8279, 0.7128)
N (0.7856, 0.9366, 0.4329)
O (0.0440, 0.8066, 0.9912)
O (0.0575, 0.2167, 0.3159)
O (0.0986, 0.3687, 0.6267)
O (0.2118, 0.4604, 0.9250)
O (0.2471, 0.9062, 0.3381)
O (0.2969, 0.1383, 0.8151)
O (0.3201, 0.4998, 0.2938)
O (0.3661, 0.6823, 0.7014)
O (0.6339, 0.3177, 0.2986)
O (0.6799, 0.5002, 0.7062)
O (0.7031, 0.8617, 0.1849)
O (0.7529, 0.0938, 0.6619)
O (0.7882, 0.5396, 0.0750)
O (0.9014, 0.6313, 0.3733)
O (0.9425, 0.7833, 0.6841)
O (0.9560, 0.1934, 0.0088)

**Space group**: P-1
**Magnetization**: 0.00 μB per cell
**Mass density**: 3.14 g/cm3
**Calculated total energy**: -282.29 eV/cell

=====

[3]
Entry from the Materials Project: crystalline MgMo3Se4S2 at its relaxed geometry (PBE).

a b c (Å): 3.2832 3.2832 36.1776
angles (deg): 90.00 90.00 120.00
Fractional coordinates of all 10 atoms:
Mg (0.0000, 0.0000, 0.0000)
Mo (0.0000, 0.0000, 0.8818)
Mo (0.6667, 0.3333, 0.1281)
Mo (0.6667, 0.3333, 0.6597)
Se (0.0000, 0.0000, 0.0812)
Se (0.0000, 0.0000, 0.1748)
Se (0.0000, 0.0000, 0.6131)
Se (0.0000, 0.0000, 0.7063)
S (0.6667, 0.3333, 0.8397)
S (0.6667, 0.3333, 0.9242)

**Space group**: P3m1
**Magnetization**: 0.00 μB per cell
**Mass density**: 3.40 g/cm3
**Calculated total energy**: -62.60 eV/cell

=====

[4]
Entry from the Materials Project: crystalline LaMg2H7 at its relaxed geometry (PBE).

a b c (Å): 6.3610 6.3610 9.5374
angles (deg): 90.00 90.00 90.00
Fractional coordinates of all 40 atoms:
La (0.2304, 0.2304, 0.0000)
La (0.2696, 0.7304, 0.2500)
La (0.7304, 0.2696, 0.7500)
La (0.7696, 0.7696, 0.5000)
Mg (0.0254, 0.7385, 0.8981)
Mg (0.2385, 0.4746, 0.6481)
Mg (0.2615, 0.9746, 0.6019)
Mg (0.4746, 0.2385, 0.3519)
Mg (0.5254, 0.7615, 0.8519)
Mg (0.7385, 0.0254, 0.1019)
Mg (0.7615, 0.5254, 0.1481)
Mg (0.9746, 0.2615, 0.3981)
H (0.0320, 0.9672, 0.3794)
H (0.0328, 0.9680, 0.1206)
H (0.0662, 0.4289, 0.8196)
H (0.0711, 0.5662, 0.0696)
H (0.1605, 0.6951, 0.5040)
H (0.1951, 0.3395, 0.2540)
H (0.2418, 0.7582, 0.7500)
H (0.2582, 0.2582, 0.5000)
H (0.3049, 0.8395, 0.9960)
H (0.3395, 0.1951, 0.7460)
H (0.4289, 0.0662, 0.1804)
H (0.4338, 0.9289, 0.4304)
H (0.4672, 0.4680, 0.1294)
H (0.4680, 0.4672, 0.8706)
H (0.5320, 0.5328, 0.3706)
H (0.5328, 0.5320, 0.6294)
H (0.5662, 0.0711, 0.9304)
H (0.5711, 0.9338, 0.6804)
H (0.6605, 0.8049, 0.2460)
H (0.6951, 0.1605, 0.4960)
H (0.7418, 0.7418, 0.0000)
H (0.7582, 0.2418, 0.2500)
H (0.8049, 0.6605, 0.7540)
H (0.8395, 0.3049, 0.0040)
H (0.9289, 0.4338, 0.5696)
H (0.9338, 0.5711, 0.3196)
H (0.9672, 0.0320, 0.6206)
H (0.9680, 0.0328, 0.8794)

**Space group**: P4_12_12
**Mass density**: 3.35 g/cm3
**Calculated total energy**: -141.00 eV/cell

=====

[5]
Entry from the Materials Project: crystalline PmTlAu2 at its relaxed geometry (PBE).

a b c (Å): 5.0937 5.0937 5.0937
angles (deg): 60.00 60.00 60.00
Fractional coordinates of all 4 atoms:
Pm (0.0000, 0.0000, 0.0000)
Tl (0.5000, 0.5000, 0.5000)
Au (0.2500, 0.2500, 0.2500)
Au (0.7500, 0.7500, 0.7500)

**Space group**: Fm-3m
**Mass density**: 13.21 g/cm3
**Calculated total energy**: -15.94 eV/cell

=====

[6]
Entry from the Materials Project: crystalline Ba3YIr2O9 at its relaxed geometry (PBE).

a b c (Å): 5.9411 5.9411 14.8724
angles (deg): 90.00 90.00 120.00
Fractional coordinates of all 30 atoms:
Ba (0.0000, 0.0000, 0.0000)
Ba (0.0000, 0.0000, 0.5000)
Ba (0.3333, 0.6667, 0.1440)
Ba (0.3333, 0.6667, 0.8179)
Ba (0.6667, 0.3333, 0.3179)
Ba (0.6667, 0.3333, 0.6440)
Y (0.3333, 0.6667, 0.3958)
Y (0.6667, 0.3333, 0.8958)
Ir (0.0000, 0.0000, 0.2406)
Ir (0.0000, 0.0000, 0.7406)
Ir (0.3333, 0.6667, 0.5896)
Ir (0.6667, 0.3333, 0.0896)
O (0.0241, 0.5120, 0.5079)
O (0.1539, 0.3079, 0.3195)
O (0.1539, 0.8461, 0.3195)
O (0.1659, 0.3318, 0.6651)
O (0.1659, 0.8341, 0.6651)
O (0.3079, 0.1539, 0.8195)
O (0.3318, 0.1659, 0.1651)
O (0.4880, 0.5120, 0.5079)
O (0.4880, 0.9759, 0.5079)
O (0.5120, 0.0241, 0.0079)
O (0.5120, 0.4880, 0.0079)
O (0.6682, 0.8341, 0.6651)
O (0.6921, 0.8461, 0.3195)
O (0.8341, 0.1659, 0.1651)
O (0.8341, 0.6682, 0.1651)
O (0.8461, 0.1539, 0.8195)
O (0.8461, 0.6921, 0.8195)
O (0.9759, 0.4880, 0.0079)

**Space group**: P6_3mc
**Magnetization**: 6.00 μB per cell
**Mass density**: 7.52 g/cm3
**Calculated total energy**: -210.16 eV/cell

=====

[7]
Entry from the Materials Project: crystalline KRb2AlI6 at its relaxed geometry (PBE).

a b c (Å): 8.6937 8.6937 8.6937
angles (deg): 60.00 60.00 60.00
Fractional coordinates of all 10 atoms:
K (0.0000, 0.0000, 0.0000)
Rb (0.2500, 0.2500, 0.2500)
Rb (0.7500, 0.7500, 0.7500)
Al (0.5000, 0.5000, 0.5000)
I (0.2741, 0.2741, 0.7259)
I (0.2741, 0.7259, 0.2741)
I (0.2741, 0.7259, 0.7259)
I (0.7259, 0.2741, 0.2741)
I (0.7259, 0.2741, 0.7259)
I (0.7259, 0.7259, 0.2741)

**Space group**: Fm-3m
**Magnetization**: 0.00 μB per cell
**Mass density**: 3.57 g/cm3
**Calculated total energy**: -26.86 eV/cell

=====

[8]
Entry from the Materials Project: crystalline Mg6CrCd at its relaxed geometry (PBE).

a b c (Å): 5.0073 6.2710 10.8934
angles (deg): 90.00 90.00 90.00
Fractional coordinates of all 16 atoms:
Mg (0.0000, 0.7559, 0.0854)
Mg (0.0000, 0.0000, 0.8333)
Mg (0.0000, 0.5000, 0.3333)
Mg (0.5000, 0.2483, 0.4167)
Mg (0.0000, 0.2441, 0.0854)
Mg (0.0000, 0.0000, 0.3292)
Mg (0.0000, 0.7441, 0.5854)
Mg (0.5000, 0.7483, 0.9167)
Mg (0.5000, 0.2517, 0.9167)
Mg (0.0000, 0.5000, 0.8292)
Mg (0.0000, 0.2559, 0.5854)
Mg (0.5000, 0.7517, 0.4167)
Cr (0.5000, 0.0000, 0.1675)
Cr (0.5000, 0.5000, 0.6675)
Cd (0.5000, 0.0000, 0.6659)
Cd (0.5000, 0.5000, 0.1659)

**Magnetization**: 8.48 μB per cell
**Mass density**: 3.01 g/cm3
**Calculated total energy**: -38.70 eV/cell

=====

Question: Number 6 is which compound?
Answer: Ba3YIr2O9